Model A:
The following is a DFT calculation (PBE-GGA) of a relaxed Pr2CuO4 crystal.

a b c (Å): 6.851 6.851 6.851
angles (deg): 146.09 146.09 48.71
Sites, in units of the cell vectors:
1 Pr 0.150 0.150 0.000
2 Pr 0.850 0.850 0.000
3 Cu 0.500 0.500 0.000
4 O 0.000 0.500 0.500
5 O 0.250 0.750 0.500
6 O 0.500 0.000 0.500
7 O 0.750 0.250 0.500


Model B:
The following is a DFT calculation (PBE-GGA) of a relaxed Pr2CuO4 crystal.

a b c (Å): 6.993 6.993 5.583
angles (deg): 90.00 90.00 135.63
Sites, in units of the cell vectors:
1 Pr 0.139 0.861 0.983
2 Pr 0.361 0.639 0.483
3 Pr 0.639 0.361 0.517
4 Pr 0.861 0.139 0.017
5 Cu 0.000 0.000 0.500
6 Cu 0.500 0.500 0.000
7 O 0.186 0.814 0.569
8 O 0.235 0.265 0.750
9 O 0.265 0.235 0.250
10 O 0.314 0.686 0.069
11 O 0.686 0.314 0.931
12 O 0.735 0.765 0.750
13 O 0.765 0.735 0.250
14 O 0.814 0.186 0.431


Model C:
The following is a DFT calculation (PBE-GGA) of a relaxed Pr2CuO4 crystal.

a b c (Å): 7.068 7.068 7.068
angles (deg): 148.91 148.91 44.54
Sites, in units of the cell vectors:
1 Pr 0.138 0.138 0.000
2 Pr 0.862 0.862 0.000
3 Cu 0.500 0.500 0.000
4 O 0.000 0.500 0.500
5 O 0.316 0.316 0.000
6 O 0.500 0.000 0.500
7 O 0.684 0.684 0.000


Of them, model C has the lowest stability.


Model A:
The following is a DFT calculation (PBE-GGA) of a relaxed Cu4PtO5 crystal.

a b c (Å): 4.238 5.189 10.772
angles (deg): 90.00 100.21 90.00
Sites, in units of the cell vectors:
1 Cu 0.000 0.000 0.000
2 Cu 0.083 0.500 0.199
3 Cu 0.205 0.000 0.398
4 Cu 0.397 0.000 0.804
5 Cu 0.500 0.500 0.000
6 Cu 0.603 0.000 0.196
7 Cu 0.795 0.000 0.602
8 Cu 0.917 0.500 0.801
9 Pt 0.306 0.500 0.604
10 Pt 0.694 0.500 0.396
11 O 0.000 0.243 0.500
12 O 0.000 0.757 0.500
13 O 0.203 0.249 0.903
14 O 0.203 0.751 0.903
15 O 0.392 0.245 0.293
16 O 0.392 0.755 0.293
17 O 0.608 0.245 0.707
18 O 0.608 0.755 0.707
19 O 0.797 0.249 0.097
20 O 0.797 0.751 0.097


Model B:
The following is a DFT calculation (PBE-GGA) of a relaxed Cu4PtO5 crystal.

a b c (Å): 6.037 2.911 13.234
angles (deg): 90.00 97.01 90.00
Sites, in units of the cell vectors:
1 Cu 0.000 0.000 0.000
2 Cu 0.098 0.500 0.404
3 Cu 0.199 0.000 0.799
4 Cu 0.398 0.000 0.598
5 Cu 0.500 0.500 0.000
6 Cu 0.602 0.000 0.402
7 Cu 0.801 0.000 0.201
8 Cu 0.902 0.500 0.596
9 Pt 0.300 0.500 0.201
10 Pt 0.700 0.500 0.799
11 O 0.004 0.500 0.745
12 O 0.200 0.500 0.048
13 O 0.201 0.500 0.551
14 O 0.395 0.500 0.852
15 O 0.398 0.500 0.355
16 O 0.602 0.500 0.645
17 O 0.605 0.500 0.148
18 O 0.799 0.500 0.449
19 O 0.800 0.500 0.952
20 O 0.996 0.500 0.255


Of them, model A has the lowest stability.


Model A:
The following is a DFT calculation (PBE-GGA) of a relaxed Cu4SO10 crystal.

a b c (Å): 5.855 9.676 13.478
angles (deg): 90.00 103.36 90.00
Sites, in units of the cell vectors:
1 Cu 0.018 0.009 0.284
2 Cu 0.018 0.491 0.784
3 Cu 0.195 0.245 0.146
4 Cu 0.195 0.255 0.646
5 Cu 0.303 0.749 0.350
6 Cu 0.303 0.751 0.850
7 Cu 0.481 0.510 0.216
8 Cu 0.481 0.990 0.716
9 Cu 0.519 0.010 0.284
10 Cu 0.519 0.490 0.784
11 Cu 0.697 0.249 0.150
12 Cu 0.697 0.251 0.650
13 Cu 0.805 0.745 0.354
14 Cu 0.805 0.755 0.854
15 Cu 0.982 0.509 0.216
16 Cu 0.982 0.991 0.716
17 S 0.334 0.213 0.917
18 S 0.334 0.287 0.417
19 S 0.666 0.713 0.583
20 S 0.666 0.787 0.083
21 O 0.042 0.628 0.330
22 O 0.042 0.872 0.830
23 O 0.064 0.634 0.882
24 O 0.064 0.866 0.382
25 O 0.152 0.172 0.972
26 O 0.152 0.328 0.472
27 O 0.203 0.591 0.164
28 O 0.203 0.909 0.664
29 O 0.243 0.581 0.736
30 O 0.243 0.919 0.236
31 O 0.282 0.142 0.815
32 O 0.282 0.358 0.315
33 O 0.322 0.134 0.396
34 O 0.322 0.366 0.896
35 O 0.423 0.133 0.619
36 O 0.423 0.367 0.119
37 O 0.428 0.676 0.525
38 O 0.428 0.824 0.025
39 O 0.459 0.129 0.173
40 O 0.459 0.371 0.673
41 O 0.541 0.629 0.327
42 O 0.541 0.871 0.827
43 O 0.572 0.176 0.975
44 O 0.572 0.324 0.475
45 O 0.577 0.633 0.881
46 O 0.577 0.867 0.381
47 O 0.678 0.634 0.104
48 O 0.678 0.866 0.604
49 O 0.718 0.642 0.685
50 O 0.718 0.858 0.185
51 O 0.757 0.081 0.764
52 O 0.757 0.419 0.264
53 O 0.797 0.091 0.336
54 O 0.797 0.409 0.836
55 O 0.848 0.672 0.528
56 O 0.848 0.828 0.028
57 O 0.936 0.134 0.618
58 O 0.936 0.366 0.118
59 O 0.958 0.128 0.170
60 O 0.958 0.372 0.670


Model B:
The following is a DFT calculation (PBE-GGA) of a relaxed Cu4SO10 crystal.

a b c (Å): 5.838 12.938 11.199
angles (deg): 90.00 121.37 90.00
Sites, in units of the cell vectors:
1 Cu 0.115 0.211 0.491
2 Cu 0.115 0.289 0.991
3 Cu 0.133 0.138 0.758
4 Cu 0.133 0.362 0.258
5 Cu 0.372 0.644 0.747
6 Cu 0.372 0.856 0.247
7 Cu 0.385 0.714 0.010
8 Cu 0.385 0.786 0.510
9 Cu 0.615 0.214 0.490
10 Cu 0.615 0.286 0.990
11 Cu 0.628 0.144 0.753
12 Cu 0.628 0.356 0.253
13 Cu 0.867 0.638 0.742
14 Cu 0.867 0.862 0.242
15 Cu 0.885 0.711 0.009
16 Cu 0.885 0.789 0.509
17 S 0.086 0.092 0.207
18 S 0.086 0.408 0.707
19 S 0.914 0.592 0.293
20 S 0.914 0.908 0.793
21 O 0.001 0.671 0.625
22 O 0.001 0.829 0.125
23 O 0.015 0.198 0.139
24 O 0.015 0.302 0.639
25 O 0.166 0.537 0.334
26 O 0.166 0.963 0.834
27 O 0.220 0.660 0.093
28 O 0.220 0.840 0.593
29 O 0.236 0.612 0.866
30 O 0.236 0.888 0.366
31 O 0.239 0.112 0.363
32 O 0.239 0.388 0.863
33 O 0.255 0.109 0.635
34 O 0.255 0.391 0.135
35 O 0.259 0.037 0.170
36 O 0.259 0.463 0.670
37 O 0.457 0.239 0.084
38 O 0.457 0.261 0.584
39 O 0.498 0.667 0.624
40 O 0.498 0.833 0.124
41 O 0.502 0.167 0.876
42 O 0.502 0.333 0.376
43 O 0.543 0.739 0.416
44 O 0.543 0.761 0.916
45 O 0.741 0.537 0.330
46 O 0.741 0.963 0.830
47 O 0.745 0.609 0.865
48 O 0.745 0.891 0.365
49 O 0.761 0.612 0.137
50 O 0.761 0.888 0.637
51 O 0.764 0.112 0.634
52 O 0.764 0.388 0.134
53 O 0.780 0.160 0.407
54 O 0.780 0.340 0.907
55 O 0.834 0.037 0.166
56 O 0.834 0.463 0.666
57 O 0.985 0.698 0.361
58 O 0.985 0.802 0.861
59 O 0.999 0.171 0.875
60 O 0.999 0.329 0.375


Of them, model B has the lowest stability.


Model A:
The following is a DFT calculation (PBE-GGA) of a relaxed Cu2SO4 crystal.

a b c (Å): 9.268 7.852 5.903
angles (deg): 83.43 57.32 39.25
Sites, in units of the cell vectors:
1 Cu 0.073 0.073 0.677
2 Cu 0.323 0.323 0.927
3 Cu 0.677 0.677 0.073
4 Cu 0.927 0.927 0.323
5 S 0.375 0.375 0.375
6 S 0.625 0.625 0.625
7 O 0.171 0.697 0.422
8 O 0.209 0.422 0.697
9 O 0.303 0.829 0.791
10 O 0.422 0.209 0.171
11 O 0.578 0.791 0.829
12 O 0.697 0.171 0.209
13 O 0.791 0.578 0.303
14 O 0.829 0.303 0.578


Model B:
The following is a DFT calculation (PBE-GGA) of a relaxed Cu2SO4 crystal.

a b c (Å): 4.606 5.903 7.852
angles (deg): 83.43 72.94 67.04
Sites, in units of the cell vectors:
1 Cu 0.000 0.000 0.000
2 Cu 0.141 0.490 0.717
3 Cu 0.395 0.986 0.212
4 Cu 0.752 0.485 0.505
5 S 0.451 0.488 0.112
6 S 0.686 0.991 0.611
7 O 0.244 0.651 0.995
8 O 0.283 0.334 0.232
9 O 0.368 0.149 0.722
10 O 0.489 0.651 0.233
11 O 0.654 0.842 0.485
12 O 0.773 0.333 0.994
13 O 0.860 0.144 0.487
14 O 0.903 0.832 0.731


Of them, model B has the lowest stability.


Model A:
The following is a DFT calculation (PBE-GGA) of a relaxed Cu13Si2Sb2O28 crystal.

a b c (Å): 5.410 8.062 11.962
angles (deg): 88.15 77.12 81.98
Sites, in units of the cell vectors:
1 Cu 0.000 0.000 0.000
2 Cu 0.036 0.738 0.828
3 Cu 0.085 0.363 0.305
4 Cu 0.244 0.363 0.990
5 Cu 0.292 0.986 0.468
6 Cu 0.331 0.725 0.296
7 Cu 0.384 0.362 0.711
8 Cu 0.479 0.723 0.999
9 Cu 0.617 0.984 0.827
10 Cu 0.664 0.363 0.148
11 Cu 0.711 0.740 0.469
12 Cu 0.851 0.001 0.296
13 Cu 0.946 0.363 0.585
14 Si 0.443 0.043 0.147
15 Si 0.885 0.683 0.149
16 Sb 0.513 0.363 0.450
17 Sb 0.817 0.361 0.846
18 O 0.058 0.754 0.030
19 O 0.079 0.242 0.715
20 O 0.110 0.500 0.842
21 O 0.220 0.224 0.453
22 O 0.251 0.482 0.580
23 O 0.270 0.971 0.266
24 O 0.350 0.784 0.731
25 O 0.367 0.250 0.146
26 O 0.373 0.484 0.316
27 O 0.376 0.756 0.445
28 O 0.390 0.969 0.028
29 O 0.396 0.939 0.731
30 O 0.531 0.221 0.840
31 O 0.543 0.482 0.979
32 O 0.575 0.705 0.148
33 O 0.645 0.242 0.580
34 O 0.651 0.970 0.444
35 O 0.678 0.754 0.851
36 O 0.684 0.482 0.716
37 O 0.752 0.020 0.148
38 O 0.786 0.241 0.317
39 O 0.799 0.503 0.455
40 O 0.932 0.786 0.565
41 O 0.937 0.757 0.268
42 O 0.951 0.968 0.851
43 O 0.958 0.242 0.979
44 O 0.960 0.475 0.151
45 O 0.976 0.942 0.564


Model B:
The following is a DFT calculation (PBE-GGA) of a relaxed Cu13Si2Sb2O28 crystal.

a b c (Å): 5.403 7.980 12.043
angles (deg): 88.04 81.28 82.91
Sites, in units of the cell vectors:
1 Cu 0.000 0.000 0.000
2 Cu 0.028 0.388 0.329
3 Cu 0.123 0.649 0.153
4 Cu 0.271 0.005 0.439
5 Cu 0.333 0.629 0.858
6 Cu 0.384 0.368 0.682
7 Cu 0.391 0.997 0.169
8 Cu 0.609 0.003 0.831
9 Cu 0.616 0.632 0.318
10 Cu 0.667 0.371 0.142
11 Cu 0.729 0.995 0.561
12 Cu 0.877 0.351 0.847
13 Cu 0.972 0.612 0.671
14 Si 0.204 0.317 0.015
15 Si 0.796 0.683 0.985
16 Sb 0.177 0.987 0.694
17 Sb 0.823 0.013 0.306
18 O 0.023 0.382 0.700
19 O 0.032 0.119 0.568
20 O 0.076 0.887 0.176
21 O 0.104 0.152 0.319
22 O 0.104 0.680 0.997
23 O 0.236 0.412 0.131
24 O 0.270 0.429 0.421
25 O 0.281 0.110 0.032
26 O 0.305 0.597 0.705
27 O 0.323 0.585 0.416
28 O 0.331 0.870 0.824
29 O 0.357 0.385 0.898
30 O 0.420 0.878 0.564
31 O 0.473 0.129 0.698
32 O 0.527 0.871 0.302
33 O 0.580 0.122 0.436
34 O 0.643 0.615 0.102
35 O 0.669 0.130 0.176
36 O 0.677 0.415 0.584
37 O 0.695 0.403 0.295
38 O 0.719 0.890 0.968
39 O 0.730 0.571 0.579
40 O 0.764 0.588 0.869
41 O 0.896 0.320 0.003
42 O 0.896 0.848 0.681
43 O 0.924 0.113 0.824
44 O 0.968 0.881 0.432
45 O 0.977 0.618 0.300


Of them, model A has the lowest stability.


Model A:
The following is a DFT calculation (PBE-GGA) of a relaxed ScCu2O4 crystal.

a b c (Å): 6.121 6.121 6.121
angles (deg): 126.57 126.57 78.96
Sites, in units of the cell vectors:
1 Sc 0.375 0.125 0.250
2 Sc 0.625 0.875 0.750
3 Cu 0.000 0.000 0.500
4 Cu 0.000 0.500 0.000
5 Cu 0.000 0.500 0.500
6 Cu 0.500 0.500 0.000
7 O 0.023 0.122 0.289
8 O 0.234 0.523 0.401
9 O 0.333 0.734 0.211
10 O 0.378 0.167 0.901
11 O 0.622 0.833 0.099
12 O 0.667 0.266 0.789
13 O 0.766 0.477 0.599
14 O 0.977 0.878 0.711


Model B:
The following is a DFT calculation (PBE-GGA) of a relaxed ScCu2O4 crystal.

a b c (Å): 6.789 6.789 6.789
angles (deg): 130.96 130.96 71.87
Sites, in units of the cell vectors:
1 Sc 0.375 0.625 0.750
2 Sc 0.625 0.375 0.250
3 Cu 0.000 0.000 0.000
4 Cu 0.000 0.000 0.500
5 Cu 0.000 0.500 0.000
6 Cu 0.500 0.000 0.500
7 O 0.221 0.744 0.477
8 O 0.233 0.256 0.977
9 O 0.256 0.233 0.477
10 O 0.256 0.779 0.023
11 O 0.744 0.221 0.977
12 O 0.744 0.767 0.523
13 O 0.767 0.744 0.023
14 O 0.779 0.256 0.523


Of them, model B has the lowest stability.